Entry 1:
Compound: Sr2Al6O11
Source: the Materials Project database
Functional: PBE
Structure: relaxed

Cell: 4.9321 8.4923 22.1748 Å, 90.00 90.00 90.00°
Element x y z (fractional)
Sr: 0.9609 0.5000 0.6546
Sr: 0.4609 0.0000 0.8454
Sr: 0.0391 0.5000 0.3454
Sr: 0.5391 0.0000 0.1546
Sr: 0.3846 0.5000 0.8618
Sr: 0.8846 0.0000 0.6382
Sr: 0.6154 0.5000 0.1382
Sr: 0.1154 0.0000 0.3618
Al: 0.5070 0.3210 0.4257
Al: 0.0070 0.1790 0.0743
Al: 0.4930 0.3210 0.5743
Al: 0.9930 0.1790 0.9257
Al: 0.4930 0.6790 0.5743
Al: 0.9930 0.8210 0.9257
Al: 0.5070 0.6790 0.4257
Al: 0.0070 0.8210 0.0743
Al: 0.6147 0.2052 0.2863
Al: 0.1147 0.2948 0.2137
Al: 0.3853 0.2052 0.7137
Al: 0.8853 0.2948 0.7863
Al: 0.3853 0.7948 0.7137
Al: 0.8853 0.7052 0.7863
Al: 0.6147 0.7948 0.2863
Al: 0.1147 0.7052 0.2137
Al: 0.0000 0.8331 0.5000
Al: 0.5000 0.6669 0.0000
Al: 0.0000 0.1669 0.5000
Al: 0.5000 0.3331 0.0000
Al: 0.0000 0.5000 0.5000
Al: 0.5000 0.0000 0.0000
Al: 0.5000 0.0000 0.5000
Al: 0.0000 0.5000 0.0000
O: 0.4702 0.2610 0.2159
O: 0.9702 0.2390 0.2841
O: 0.5298 0.2610 0.7841
O: 0.0298 0.2390 0.7159
O: 0.5298 0.7390 0.7841
O: 0.0298 0.7610 0.7159
O: 0.4702 0.7390 0.2159
O: 0.9702 0.7610 0.2841
O: 0.1522 0.6630 0.5484
O: 0.6522 0.8370 0.9516
O: 0.8478 0.6630 0.4516
O: 0.3478 0.8370 0.0484
O: 0.8478 0.3370 0.4516
O: 0.3478 0.1630 0.0484
O: 0.1522 0.3370 0.5484
O: 0.6522 0.1630 0.9516
O: 0.6710 0.5000 0.9552
O: 0.1710 0.0000 0.5448
O: 0.1781 0.3421 0.9517
O: 0.3290 0.5000 0.0448
O: 0.9933 0.1816 0.1534
O: 0.4933 0.3184 0.3466
O: 0.0067 0.1816 0.8466
O: 0.5067 0.3184 0.6534
O: 0.0067 0.8184 0.8466
O: 0.5067 0.6816 0.6534
O: 0.9933 0.8184 0.1534
O: 0.4933 0.6816 0.3466
O: 0.8219 0.6579 0.0483
O: 0.3219 0.8421 0.4517
O: 0.1781 0.6579 0.9517
O: 0.6781 0.8421 0.5483
O: 0.8248 0.0000 0.0561
O: 0.3248 0.5000 0.4439
O: 0.1752 0.0000 0.9439
O: 0.6752 0.5000 0.5561
O: 0.5603 0.0000 0.2977
O: 0.0603 0.5000 0.2023
O: 0.4397 0.0000 0.7023
O: 0.9397 0.5000 0.7977
O: 0.3219 0.1579 0.4517
O: 0.8219 0.3421 0.0483
O: 0.6781 0.1579 0.5483
O: 0.8290 0.0000 0.4552

## Properties
Raw total energy: -7.285 eV/atom
Formation energy from the elements: -3.458 eV/atom
M_tot: 0.0 μB per formula unit
Mass density: 3.7 g/cm3



Entry 2:
Compound: Ba7Sn3Te3Se10
Source: the Materials Project database
Functional: PBE
Structure: relaxed

Cell: 9.5133 13.1690 25.6458 Å, 90.00 90.00 90.00°
Element x y z (fractional)
Ba: 0.3839 0.3074 0.5324
Ba: 0.6161 0.6926 0.4676
Ba: 0.8839 0.1926 0.4676
Ba: 0.6161 0.6926 0.0324
Ba: 0.1161 0.8074 0.5324
Ba: 0.3839 0.3074 0.9676
Ba: 0.1161 0.8074 0.9676
Ba: 0.8839 0.1926 0.0324
Ba: 0.4139 0.0206 0.6589
Ba: 0.5861 0.9794 0.3411
Ba: 0.9139 0.4794 0.3411
Ba: 0.5861 0.9794 0.1589
Ba: 0.0861 0.5206 0.6589
Ba: 0.4139 0.0206 0.8411
Ba: 0.0861 0.5206 0.8411
Ba: 0.9139 0.4794 0.1589
Ba: 0.1021 0.1385 0.2500
Ba: 0.8979 0.8615 0.7500
Ba: 0.6021 0.3615 0.7500
Ba: 0.3979 0.6385 0.2500
Ba: 0.4098 0.3414 0.1526
Ba: 0.5902 0.6586 0.8474
Ba: 0.9098 0.1586 0.8474
Ba: 0.5902 0.6586 0.6526
Ba: 0.0902 0.8414 0.1526
Ba: 0.4098 0.3414 0.3474
Ba: 0.0902 0.8414 0.3474
Ba: 0.9098 0.1586 0.6526
Sn: 0.6961 0.2603 0.2500
Sn: 0.3039 0.7397 0.7500
Sn: 0.1961 0.2397 0.7500
Sn: 0.8039 0.7603 0.2500
Sn: 0.3007 0.0460 0.0542
Sn: 0.6993 0.9540 0.9458
Sn: 0.8007 0.4540 0.9458
Sn: 0.6993 0.9540 0.5542
Sn: 0.1993 0.5460 0.0542
Sn: 0.3007 0.0460 0.4458
Sn: 0.1993 0.5460 0.4458
Sn: 0.8007 0.4540 0.5542
Te: 0.1801 0.0778 0.5435
Te: 0.8199 0.9222 0.4565
Te: 0.6801 0.4222 0.4565
Te: 0.8199 0.9222 0.0435
Te: 0.3199 0.5778 0.5435
Te: 0.1801 0.0778 0.9565
Te: 0.3199 0.5778 0.9565
Te: 0.6801 0.4222 0.0435
Te: 0.1736 0.3996 0.2500
Te: 0.8264 0.6004 0.7500
Te: 0.6736 0.1004 0.7500
Te: 0.3264 0.8996 0.2500
Se: 0.3313 0.2801 0.6680
Se: 0.6687 0.7199 0.3320
Se: 0.8313 0.2199 0.3320
Se: 0.6687 0.7199 0.1680
Se: 0.1687 0.7801 0.6680
Se: 0.3313 0.2801 0.8320
Se: 0.1687 0.7801 0.8320
Se: 0.8313 0.2199 0.1680
Se: 0.1125 0.0922 0.1216
Se: 0.8875 0.9078 0.8784
Se: 0.6125 0.4078 0.8784
Se: 0.8875 0.9078 0.6216
Se: 0.3875 0.5922 0.1216
Se: 0.1125 0.0922 0.3784
Se: 0.3875 0.5922 0.3784
Se: 0.6125 0.4078 0.6216
Se: 0.6472 0.4531 0.2500
Se: 0.3528 0.5469 0.7500
Se: 0.1472 0.0469 0.7500
Se: 0.8528 0.9531 0.2500
Se: 0.4685 0.1552 0.2500
Se: 0.5315 0.8448 0.7500
Se: 0.9685 0.3448 0.7500
Se: 0.0315 0.6552 0.2500
Se: 0.5119 0.1617 0.0710
Se: 0.4881 0.8383 0.9290
Se: 0.0119 0.3383 0.9290
Se: 0.4881 0.8383 0.5710
Se: 0.9881 0.6617 0.0710
Se: 0.5119 0.1617 0.4290
Se: 0.9881 0.6617 0.4290
Se: 0.0119 0.3383 0.5710
Se: 0.1457 0.3582 0.0728
Se: 0.8543 0.6418 0.9272
Se: 0.6457 0.1418 0.9272
Se: 0.8543 0.6418 0.5728
Se: 0.3543 0.8582 0.0728
Se: 0.1457 0.3582 0.4272
Se: 0.3543 0.8582 0.4272
Se: 0.6457 0.1418 0.5728

## Properties
Raw total energy: -4.397 eV/atom
Formation energy from the elements: -1.565 eV/atom
M_tot: 0.0 μB per formula unit
Mass density: 5.1 g/cm3



Entry 3:
Compound: Ca3UN4
Source: the Materials Project database
Functional: PBE
Structure: relaxed

Cell: 6.0791 6.0790 4.8946 Å, 66.26 66.26 47.48°
Element x y z (fractional)
Ca: 0.7483 0.7517 0.7517
Ca: 0.2483 0.2517 0.2517
Ca: 0.4987 0.5013 0.5013
U: 0.0005 0.9995 0.9995
N: 0.9995 0.0005 0.5157
N: 0.2003 0.2041 0.7997
N: 0.4843 0.5157 0.0005
N: 0.7959 0.7997 0.2041

## Properties
Raw total energy: -7.613 eV/atom
Formation energy from the elements: -1.462 eV/atom
M_tot: 0.0 μB per formula unit
Mass density: 5.7 g/cm3